[1]
A plane-wave DFT calculation with r²SCAN was carried out for U2AsS after structural relaxation.

As for the crystal system: trigonal.

It has space group R-3m (No. 166, hexagonal axes), with a = 4.1591 Å, b = 4.1591 Å, c = 18.8398 Å, α = 90.00°, β = 90.00° and γ = 120.00°. The asymmetric unit holds U at (0.0000, 0.0000, 0.2469), As at (0.0000, 0.0000, 0.0000) and S at (0.0000, 0.0000, 0.5000).



[2]
A plane-wave DFT calculation with r²SCAN was carried out for Y2AsS after structural relaxation.

As for the crystal system: trigonal.

It has space group R-3m (No. 166, hexagonal axes), with a = 4.0286 Å, b = 4.0286 Å, c = 19.5703 Å, α = 90.00°, β = 90.00° and γ = 120.00°. The asymmetric unit holds Y at (0.0000, 0.0000, 0.2503), As at (0.0000, 0.0000, 0.5000) and S at (0.0000, 0.0000, 0.0000).



[3]
A plane-wave DFT calculation with r²SCAN was carried out for Zr5Sb3As after structural relaxation.

As for the crystal system: hexagonal.

It has space group P6_3/mcm (No. 193), with a = 8.6336 Å, b = 8.6336 Å, c = 5.9491 Å, α = 90.00°, β = 90.00° and γ = 120.00°. The asymmetric unit holds Zr at (0.0000, 0.2628, 0.2500), Zr at (0.3333, 0.6667, 0.0000), Sb at (0.0000, 0.3956, 0.7500) and As at (0.0000, 0.0000, 0.0000).



[4]
A plane-wave DFT calculation with r²SCAN was carried out for Sc3As2 after structural relaxation.

As for the crystal system: orthorhombic.

It has space group Pnma (No. 62), with a = 7.157 Å, b = 3.883 Å, c = 14.787 Å, α = 90.00°, β = 90.00° and γ = 90.00°. The asymmetric unit holds Sc at (0.004, 0.250, 0.104), Sc at (0.138, 0.750, 0.431), Sc at (0.163, 0.250, 0.725), As at (0.122, 0.250, 0.294) and As at (0.247, 0.750, 0.044).



[5]
A plane-wave DFT calculation with r²SCAN was carried out for Sc3As2 after structural relaxation.

As for the crystal system: tetragonal.

It has space group P4/m (No. 83), with a = 10.364 Å, b = 10.364 Å, c = 3.869 Å, α = 90.00°, β = 90.00° and γ = 90.00°. The asymmetric unit holds Sc at (0.000, 0.000, 0.000), Sc at (0.000, 0.500, 0.000), Sc at (0.105, 0.783, 0.500), Sc at (0.307, 0.365, 0.000), Sc at (0.500, 0.500, 0.500), As at (0.081, 0.246, 0.000) and As at (0.224, 0.550, 0.500).



[6]
A plane-wave DFT calculation with r²SCAN was carried out for Sc3As2 after structural relaxation.

As for the crystal system: orthorhombic.

It has space group Pnma (No. 62), with a = 10.436 Å, b = 3.831 Å, c = 10.339 Å, α = 90.00°, β = 90.00° and γ = 90.00°. The asymmetric unit holds Sc at (0.048, 0.250, 0.133), Sc at (0.128, 0.750, 0.564), Sc at (0.224, 0.250, 0.797), As at (0.014, 0.750, 0.322) and As at (0.187, 0.750, 0.995).



[7]
A plane-wave DFT calculation with r²SCAN was carried out for Sc7As3 after structural relaxation.

As for the crystal system: tetragonal.

It has space group I4/mcm (No. 140), with a = 14.454 Å, b = 14.454 Å, c = 8.034 Å, α = 90.00°, β = 90.00° and γ = 90.00°. The asymmetric unit holds Sc at (0.000, 0.000, 0.250), Sc at (0.000, 0.500, 0.250), Sc at (0.019, 0.328, 0.000), Sc at (0.119, 0.125, 0.500), Sc at (0.168, 0.332, 0.305), As at (0.000, 0.194, 0.250) and As at (0.220, 0.280, 0.000).



[8]
A plane-wave DFT calculation with r²SCAN was carried out for As4Se3 after structural relaxation.

As for the crystal system: orthorhombic.

It has space group Pnma (No. 62), with a = 9.796 Å, b = 8.356 Å, c = 10.687 Å, α = 90.00°, β = 90.00° and γ = 90.00°. The asymmetric unit holds As at (0.014, 0.250, 0.082), As at (0.147, 0.601, 0.781), As at (0.168, 0.250, 0.563), Se at (0.095, 0.750, 0.115) and Se at (0.170, 0.035, 0.416).



[9]
A plane-wave DFT calculation with r²SCAN was carried out for Sm2AsSe after structural relaxation.

As for the crystal system: tetragonal.

It has space group I4_1/amd (No. 141, origin choice 2), with a = 5.916 Å, b = 5.916 Å, c = 11.870 Å, α = 90.00°, β = 90.00° and γ = 90.00°. The asymmetric unit holds Sm at (0.000, 0.250, 0.119), As at (0.000, 0.250, 0.875) and Se at (0.000, 0.250, 0.375).



[10]
A plane-wave DFT calculation with r²SCAN was carried out for Sm2AsSe after structural relaxation.

As for the crystal system: tetragonal.

It has space group P4/mmm (No. 123), with a = 4.184 Å, b = 4.184 Å, c = 5.912 Å, α = 90.00°, β = 90.00° and γ = 90.00°. The asymmetric unit holds Sm at (0.000, 0.000, 0.000), Sm at (0.500, 0.500, 0.500), As at (0.000, 0.000, 0.500) and Se at (0.500, 0.500, 0.000).



[11]
A plane-wave DFT calculation with r²SCAN was carried out for Sm2AsSe after structural relaxation.

As for the crystal system: trigonal.

It has space group R-3m (No. 166, hexagonal axes), with a = 4.1868 Å, b = 4.1868 Å, c = 20.5687 Å, α = 90.00°, β = 90.00° and γ = 120.00°. The asymmetric unit holds Sm at (0.0000, 0.0000, 0.2462), As at (0.0000, 0.0000, 0.5000) and Se at (0.0000, 0.0000, 0.0000).



[12]
A plane-wave DFT calculation with r²SCAN was carried out for Tl3AsSe3 after structural relaxation.

As for the crystal system: trigonal.

It has space group R3m (No. 160, hexagonal axes), with a = 10.1099 Å, b = 10.1099 Å, c = 7.1333 Å, α = 90.00°, β = 90.00° and γ = 120.00°. The asymmetric unit holds Tl at (0.2013, 0.4025, 0.0000), As at (0.0000, 0.0000, 0.7419) and Se at (0.2098, 0.4197, 0.5545).



[13]
A plane-wave DFT calculation with r²SCAN was carried out for U2AsSe after structural relaxation.

As for the crystal system: orthorhombic.

It has space group Imma (No. 74), with a = 5.872 Å, b = 5.911 Å, c = 11.738 Å, α = 90.00°, β = 90.00° and γ = 90.00°. The asymmetric unit holds U at (0.000, 0.250, 0.123), U at (0.000, 0.250, 0.627), As at (0.000, 0.250, 0.874) and Se at (0.000, 0.250, 0.376).



[14]
A plane-wave DFT calculation with r²SCAN was carried out for U2As3Se after structural relaxation.

As for the crystal system: tetragonal.

It has space group P4mm (No. 99), with a = 3.974 Å, b = 3.974 Å, c = 8.505 Å, α = 90.00°, β = 90.00° and γ = 90.00°. The asymmetric unit holds U at (0.000, 0.000, 0.000), U at (0.500, 0.500, 0.450), As at (0.000, 0.500, 0.724), As at (0.500, 0.500, 0.089) and Se at (0.000, 0.000, 0.355).



[15]
A plane-wave DFT calculation with r²SCAN was carried out for U2AsSe after structural relaxation.

As for the crystal system: tetragonal.

It has space group P4/mmm (No. 123), with a = 4.186 Å, b = 4.186 Å, c = 5.923 Å, α = 90.00°, β = 90.00° and γ = 90.00°. The asymmetric unit holds U at (0.000, 0.000, 0.000), U at (0.500, 0.500, 0.500), As at (0.000, 0.000, 0.500) and Se at (0.500, 0.500, 0.000).



[16]
A plane-wave DFT calculation with r²SCAN was carried out for YAsSe after structural relaxation.

As for the crystal system: orthorhombic.

It has space group Pnma (No. 62), with a = 17.536 Å, b = 3.900 Å, c = 3.944 Å, α = 90.00°, β = 90.00° and γ = 90.00°. The asymmetric unit holds Y at (0.140, 0.250, 0.239), As at (0.002, 0.250, 0.709) and Se at (0.187, 0.750, 0.742).



[17]
A plane-wave DFT calculation with r²SCAN was carried out for Y4AsSe3 after structural relaxation.

As for the crystal system: tetragonal.

It has space group I4/mmm (No. 139), with a = 5.772 Å, b = 5.772 Å, c = 11.581 Å, α = 90.00°, β = 90.00° and γ = 90.00°. The asymmetric unit holds Y at (0.000, 0.000, 0.242), Y at (0.000, 0.500, 0.000), As at (0.000, 0.000, 0.000), Se at (0.000, 0.000, 0.500) and Se at (0.000, 0.500, 0.250).



[18]
A plane-wave DFT calculation with r²SCAN was carried out for SiAs after structural relaxation.

As for the crystal system: triclinic.

It has space group P-1 (No. 2), with a = 3.676 Å, b = 8.612 Å, c = 9.885 Å, α = 109.01°, β = 90.11° and γ = 102.19°. The asymmetric unit holds Si at (0.065, 0.132, 0.091), Si at (0.266, 0.531, 0.704), Si at (0.365, 0.732, 0.588), As at (0.043, 0.084, 0.318), As at (0.327, 0.659, 0.334) and As at (0.355, 0.706, 0.948).



Values of ΔE_f, in order: -1.480; -2.062; -0.938; -1.313; -1.269; -1.303; -0.986; -0.099; -2.008; -2.001; -2.008; -0.383; -1.345; -1.104; -1.323; -1.661; -2.001; -0.120, all in eV per atom.